# Li2Mn3B3O9, optimized geometry, DFT PBE+U
# - mass density (g/cm³) = 3.13
# - DFT total energy (eV/f.u.) = -125.9
# - total magnetic moment (μB per cell) = 112.00
# - calculated formation energy (meV per atom) = -2423
data_Li2Mn3B3O9
_cell_length_a 28.815
_cell_length_b 6.340
_cell_length_c 8.245
_cell_angle_alpha 90.00
_cell_angle_beta 90.06
_cell_angle_gamma 90.00
_symmetry_space_group_name_H-M 'C 1 m 1'
_symmetry_Int_Tables_number 8
loop_
_symmetry_equiv_pos_as_xyz
'x,y,z'
'x,-y,z'
'x+1/2,y+1/2,z'
'x+1/2,-y+1/2,z'
loop_
_atom_site_label
_atom_site_type_symbol
_atom_site_fract_x
_atom_site_fract_y
_atom_site_fract_z
Li1 Li 0.000 0.000 0.000
Li2 Li 0.000 0.500 0.000
Li3 Li 0.080 0.000 0.582
Li4 Li 0.185 0.500 0.048
Li5 Li 0.250 0.000 0.500
Li6 Li 0.250 0.500 0.505
Li7 Li 0.330 0.500 0.084
Li8 Li 0.435 0.000 0.550
Mn1 Mn 0.008 0.250 0.354
Mn2 Mn 0.097 0.247 0.896
Mn3 Mn 0.160 0.247 0.381
Mn4 Mn 0.258 0.247 0.854
Mn5 Mn 0.347 0.250 0.399
Mn6 Mn 0.411 0.254 0.881
B1 B 0.005 0.247 0.715
B2 B 0.087 0.000 0.213
B3 B 0.088 0.500 0.203
B4 B 0.172 0.000 0.707
B5 B 0.174 0.500 0.707
B6 B 0.254 0.256 0.217
B7 B 0.338 0.000 0.704
B8 B 0.338 0.500 0.715
B9 B 0.422 0.500 0.209
B10 B 0.424 0.000 0.206
O1 O 0.052 0.225 0.708
O2 O 0.059 0.000 0.350
O3 O 0.059 0.500 0.333
O4 O 0.069 0.000 0.058
O5 O 0.070 0.500 0.045
O6 O 0.135 0.000 0.236
O7 O 0.136 0.500 0.222
O8 O 0.141 0.000 0.835
O9 O 0.145 0.500 0.841
O10 O 0.152 0.000 0.552
O11 O 0.157 0.500 0.550
O12 O 0.219 0.000 0.727
O13 O 0.222 0.500 0.733
O14 O 0.229 0.264 0.077
O15 O 0.232 0.249 0.367
O16 O 0.303 0.267 0.212
O17 O 0.309 0.000 0.834
O18 O 0.309 0.500 0.851
O19 O 0.319 0.500 0.560
O20 O 0.320 0.000 0.545
O21 O 0.385 0.500 0.737
O22 O 0.386 0.000 0.724
O23 O 0.391 0.500 0.337
O24 O 0.395 0.000 0.341
O25 O 0.403 0.500 0.054
O26 O 0.407 0.000 0.050
O27 O 0.470 0.500 0.229
O28 O 0.472 0.000 0.228
O29 O 0.479 0.233 0.576
O30 O 0.483 0.252 0.867